Entry from the Materials Project database: crystalline Sr7HfN6 at its relaxed geometry (PBE-GGA).

The structure in CIF format:
```
data_Sr7HfN6
_cell_length_a 12.269
_cell_length_b 6.800
_cell_length_c 13.904
_cell_angle_alpha 90.00
_cell_angle_beta 90.00
_cell_angle_gamma 90.00
_symmetry_space_group_name_H-M 'P b c n'
_symmetry_Int_Tables_number 60
_symmetry_space_group_name_Hall '-P 2n 2ab'
loop_
_atom_site_label
_atom_site_type_symbol
_atom_site_fract_x
_atom_site_fract_y
_atom_site_fract_z
Sr1 Sr 0.000 0.025 0.250
Sr2 Sr 0.040 0.226 0.508
Sr3 Sr 0.220 0.384 0.118
Sr4 Sr 0.228 0.349 0.870
Hf1 Hf 0.000 0.475 0.750
N1 N 0.088 0.340 0.339
N2 N 0.116 0.289 0.688
N3 N 0.160 0.101 0.997
```

## Properties
energy with MP2020 corrections = -6.065 eV/atom
DFT formation energy = -90 kJ/mol of atoms
calculated volume = 1159.99 Å³ per cell
total energy = -5.910 eV per atom

***

Entry from the Materials Project database: crystalline HfTa2N3 at its relaxed geometry (PBE-GGA).

The structure in CIF format:
```
data_HfTa2N3
_cell_length_a 5.2506
_cell_length_b 5.2506
_cell_length_c 2.9920
_cell_angle_alpha 90.00
_cell_angle_beta 90.00
_cell_angle_gamma 120.00
_symmetry_space_group_name_H-M 'P 6/m m m'
_symmetry_Int_Tables_number 191
_symmetry_space_group_name_Hall '-P 6 2'
loop_
_atom_site_label
_atom_site_type_symbol
_atom_site_fract_x
_atom_site_fract_y
_atom_site_fract_z
Hf1 Hf 0.0000 0.0000 0.0000
Ta1 Ta 0.3333 0.6667 0.5000
N1 N 0.0000 0.5000 0.0000
```

## Properties
energy with MP2020 corrections = -10.918 eV/atom
DFT formation energy = -110 kJ/mol of atoms
calculated volume = 71.43 Å³ per cell
total energy = -10.738 eV per atom

***

Entry from the Materials Project database: crystalline HfTiN2 at its relaxed geometry (PBE-GGA).

The structure in CIF format:
```
data_HfTiN2
_cell_length_a 3.125
_cell_length_b 3.125
_cell_length_c 4.415
_cell_angle_alpha 90.00
_cell_angle_beta 90.00
_cell_angle_gamma 90.00
_symmetry_space_group_name_H-M 'P 4/m m m'
_symmetry_Int_Tables_number 123
_symmetry_space_group_name_Hall '-P 4 2'
loop_
_atom_site_label
_atom_site_type_symbol
_atom_site_fract_x
_atom_site_fract_y
_atom_site_fract_z
Hf1 Hf 0.000 0.000 0.000
Ti1 Ti 0.500 0.500 0.500
N1 N 0.000 0.000 0.500
N2 N 0.500 0.500 0.000
```

## Properties
energy with MP2020 corrections = -10.519 eV/atom
DFT formation energy = -182 kJ/mol of atoms
calculated volume = 43.12 Å³ per cell
total energy = -10.338 eV per atom

***

Entry from the Materials Project database: crystalline HfTiN2 at its relaxed geometry (PBE-GGA).

The structure in CIF format:
```
data_HfTiN2
_cell_length_a 3.1252
_cell_length_b 3.1252
_cell_length_c 15.1889
_cell_angle_alpha 90.00
_cell_angle_beta 90.00
_cell_angle_gamma 120.00
_symmetry_space_group_name_H-M 'R -3 m'
_symmetry_Int_Tables_number 166
_symmetry_space_group_name_Hall '-R 3 2"'
loop_
_atom_site_label
_atom_site_type_symbol
_atom_site_fract_x
_atom_site_fract_y
_atom_site_fract_z
Hf1 Hf 0.0000 0.0000 0.0000
Ti1 Ti 0.0000 0.0000 0.5000
N1 N 0.0000 0.0000 0.2476
```

## Properties
energy with MP2020 corrections = -10.525 eV/atom
DFT formation energy = -183 kJ/mol of atoms
calculated volume = 128.47 Å³ per cell
total energy = -10.345 eV per atom

***

Entry from the Materials Project database: crystalline Na3Hf at its relaxed geometry (PBE-GGA).

The structure in CIF format:
```
data_Na3Hf
_cell_length_a 6.9265
_cell_length_b 6.9265
_cell_length_c 5.6498
_cell_angle_alpha 90.00
_cell_angle_beta 90.00
_cell_angle_gamma 120.00
_symmetry_space_group_name_H-M 'P 63/m m c'
_symmetry_Int_Tables_number 194
_symmetry_space_group_name_Hall '-P 6c 2c'
loop_
_atom_site_label
_atom_site_type_symbol
_atom_site_fract_x
_atom_site_fract_y
_atom_site_fract_z
Na1 Na 0.1679 0.3357 0.2500
Hf1 Hf 0.3333 0.6667 0.7500
```

## Properties
E above lowest polymorph = 4.8 meV/atom
DFT formation energy = 86 kJ/mol of atoms
calculated volume = 234.74 Å³ per cell
total energy = -2.594 eV per atom

***

Entry from the Materials Project database: crystalline Na3Hf at its relaxed geometry (PBE-GGA).

The structure in CIF format:
```
data_Na3Hf
_cell_length_a 4.865
_cell_length_b 4.865
_cell_length_c 4.865
_cell_angle_alpha 90.00
_cell_angle_beta 90.00
_cell_angle_gamma 90.00
_symmetry_space_group_name_H-M 'P m -3 m'
_symmetry_Int_Tables_number 221
_symmetry_space_group_name_Hall '-P 4 2 3'
loop_
_atom_site_label
_atom_site_type_symbol
_atom_site_fract_x
_atom_site_fract_y
_atom_site_fract_z
Na1 Na 0.000 0.000 0.500
Hf1 Hf 0.500 0.500 0.500
```

## Properties
E above lowest polymorph = 0.0 meV/atom
DFT formation energy = 85 kJ/mol of atoms
calculated volume = 115.16 Å³ per cell
total energy = -2.599 eV per atom

***

Entry from the Materials Project database: crystalline NaNdHfNbO6 at its relaxed geometry (PBE-GGA).

The structure in CIF format:
```
data_NaNdHfNbO6
_cell_length_a 8.141
_cell_length_b 8.141
_cell_length_c 8.141
_cell_angle_alpha 90.00
_cell_angle_beta 90.00
_cell_angle_gamma 90.00
_symmetry_space_group_name_H-M 'F -4 3 m'
_symmetry_Int_Tables_number 216
_symmetry_space_group_name_Hall 'F -4 2 3'
loop_
_atom_site_label
_atom_site_type_symbol
_atom_site_fract_x
_atom_site_fract_y
_atom_site_fract_z
Na1 Na 0.000 0.000 0.000
Nd1 Nd 0.000 0.000 0.500
Hf1 Hf 0.250 0.250 0.250
Nb1 Nb 0.250 0.250 0.750
O1 O 0.002 0.250 0.750
```

## Properties
energy with MP2020 corrections = -8.793 eV/atom
DFT formation energy = -310 kJ/mol of atoms
calculated volume = 539.51 Å³ per cell
total energy = -8.380 eV per atom

***

Entry from the Materials Project database: crystalline NaHf3NbP6O24 at its relaxed geometry (PBE-GGA).

The structure in CIF format:
```
data_NaHf3NbP6O24
_cell_length_a 8.8470
_cell_length_b 8.8470
_cell_length_c 23.0312
_cell_angle_alpha 90.00
_cell_angle_beta 90.00
_cell_angle_gamma 120.00
_symmetry_space_group_name_H-M 'P 3'
_symmetry_Int_Tables_number 143
_symmetry_space_group_name_Hall 'P 3'
loop_
_atom_site_label
_atom_site_type_symbol
_atom_site_fract_x
_atom_site_fract_y
_atom_site_fract_z
Na1 Na 0.0000 0.0000 0.0000
Na2 Na 0.0000 0.0000 0.4991
Na3 Na 0.3333 0.6667 0.1648
Hf1 Hf 0.0000 0.0000 0.1456
Hf2 Hf 0.0000 0.0000 0.3524
Hf3 Hf 0.0000 0.0000 0.6459
Hf4 Hf 0.0000 0.0000 0.8527
Hf5 Hf 0.3333 0.6667 0.0202
Hf6 Hf 0.3333 0.6667 0.5235
Hf7 Hf 0.6667 0.3333 0.1881
Hf8 Hf 0.6667 0.3333 0.4753
Hf9 Hf 0.6667 0.3333 0.9763
Nb1 Nb 0.3333 0.6667 0.3129
Nb2 Nb 0.3333 0.6667 0.8110
Nb3 Nb 0.6667 0.3333 0.6875
P1 P 0.9999 0.2894 0.7493
P2 P 0.0008 0.7109 0.2496
P3 P 0.0474 0.3791 0.4167
P4 P 0.0466 0.6674 0.9158
P5 P 0.3785 0.0455 0.0826
P6 P 0.3803 0.3319 0.5824
O1 O 0.0270 0.1971 0.4080
O2 O 0.0272 0.8301 0.9073
O3 O 0.0324 0.2080 0.6954
O4 O 0.0361 0.8266 0.1956
O5 O 0.1318 0.6379 0.5753
O6 O 0.1380 0.4948 0.3618
O7 O 0.1385 0.4956 0.0759
O8 O 0.1384 0.6435 0.8614
O9 O 0.1601 0.4728 0.7607
O10 O 0.1614 0.6985 0.9695
O11 O 0.1625 0.4646 0.4700
O12 O 0.1663 0.6911 0.2589
O13 O 0.1945 0.0241 0.0896
O14 O 0.1974 0.1702 0.5912
O15 O 0.2037 0.1784 0.3037
O16 O 0.2080 0.0324 0.8032
O17 O 0.4620 0.1570 0.0281
O18 O 0.4641 0.3016 0.5288
O19 O 0.4698 0.3132 0.2406
O20 O 0.4729 0.1602 0.7380
O21 O 0.4898 0.1283 0.1371
O22 O 0.4943 0.1320 0.4235
O23 O 0.4944 0.3618 0.9232
O24 O 0.4949 0.3566 0.6372
```

## Properties
energy with MP2020 corrections = -8.670 eV/atom
DFT formation energy = -306 kJ/mol of atoms
calculated volume = 1561.15 Å³ per cell
total energy = -8.199 eV per atom

***

Entry from the Materials Project database: crystalline Na3Hf2Nb2Si3P3O24 at its relaxed geometry (PBE-GGA).

The structure in CIF format:
```
data_Na3Hf2Nb2Si3P3O24
_cell_length_a 8.897
_cell_length_b 8.940
_cell_length_c 22.975
_cell_angle_alpha 89.94
_cell_angle_beta 90.00
_cell_angle_gamma 60.18
_symmetry_space_group_name_H-M 'P 1'
_symmetry_Int_Tables_number 1
_symmetry_space_group_name_Hall 'P 1'
loop_
_atom_site_label
_atom_site_type_symbol
_atom_site_fract_x
_atom_site_fract_y
_atom_site_fract_z
Na1 Na 0.000 0.000 0.000
Na2 Na 0.000 0.004 0.500
Na3 Na 0.326 0.345 0.834
Na4 Na 0.332 0.343 0.335
Na5 Na 0.365 0.005 0.251
Na6 Na 0.634 0.003 0.750
Na7 Na 0.666 0.671 0.167
Na8 Na 0.669 0.666 0.666
Na9 Na 0.968 0.337 0.083
Hf1 Hf 0.000 0.003 0.147
Hf2 Hf 0.324 0.344 0.686
Hf3 Hf 0.333 0.339 0.187
Hf4 Hf 0.663 0.677 0.018
Hf5 Hf 0.671 0.664 0.316
Hf6 Hf 0.672 0.667 0.815
Nb1 Nb 0.000 0.011 0.356
Nb2 Nb 0.001 0.001 0.856
Nb3 Nb 0.332 0.330 0.978
Nb4 Nb 0.337 0.327 0.480
Nb5 Nb 0.666 0.669 0.521
Nb6 Nb 0.996 0.004 0.644
Si1 Si 0.003 0.712 0.751
Si2 Si 0.041 0.338 0.583
Si3 Si 0.337 0.042 0.085
Si4 Si 0.379 0.958 0.416
Si5 Si 0.620 0.047 0.585
Si6 Si 0.663 0.383 0.418
Si7 Si 0.666 0.961 0.916
Si8 Si 0.955 0.380 0.918
Si9 Si 0.995 0.299 0.250
P1 P 0.046 0.626 0.083
P2 P 0.286 0.004 0.750
P3 P 0.287 0.715 0.252
P4 P 0.333 0.625 0.583
P5 P 0.376 0.669 0.917
P6 P 0.620 0.338 0.083
P7 P 0.712 0.003 0.251
P8 P 0.714 0.292 0.750
P9 P 0.957 0.671 0.418
O1 O 0.024 0.165 0.592
O2 O 0.024 0.807 0.090
O3 O 0.025 0.815 0.807
O4 O 0.030 0.166 0.306
O5 O 0.126 0.372 0.640
O6 O 0.128 0.511 0.137
O7 O 0.138 0.511 0.426
O8 O 0.148 0.362 0.926
O9 O 0.156 0.037 0.089
O10 O 0.160 0.539 0.029
O11 O 0.165 0.309 0.527
O12 O 0.172 0.803 0.305
O13 O 0.172 0.808 0.592
O14 O 0.173 0.032 0.805
O15 O 0.175 0.524 0.746
O16 O 0.176 0.305 0.245
O17 O 0.186 0.978 0.409
O18 O 0.195 0.833 0.909
O19 O 0.197 0.980 0.696
O20 O 0.204 0.830 0.197
O21 O 0.302 0.175 0.029
O22 O 0.302 0.543 0.529
O23 O 0.308 0.535 0.244
O24 O 0.312 0.162 0.745
O25 O 0.352 0.153 0.426
O26 O 0.353 0.511 0.926
O27 O 0.361 0.136 0.142
O28 O 0.364 0.515 0.638
O29 O 0.456 0.703 0.971
O30 O 0.465 0.705 0.257
O31 O 0.468 0.843 0.756
O32 O 0.471 0.837 0.473
O33 O 0.487 0.640 0.862
O34 O 0.490 0.882 0.357
O35 O 0.493 0.362 0.427
O36 O 0.494 0.648 0.576
O37 O 0.499 0.155 0.927
O38 O 0.505 0.853 0.078
O39 O 0.509 0.366 0.138
O40 O 0.510 0.130 0.643
O41 O 0.529 0.166 0.245
O42 O 0.530 0.172 0.528
O43 O 0.532 0.312 0.029
O44 O 0.536 0.301 0.744
O45 O 0.630 0.882 0.858
O46 O 0.634 0.498 0.361
O47 O 0.645 0.855 0.574
O48 O 0.648 0.495 0.077
O49 O 0.684 0.847 0.257
O50 O 0.692 0.472 0.756
O51 O 0.698 0.473 0.474
O52 O 0.700 0.843 0.973
O53 O 0.801 0.029 0.305
O54 O 0.801 0.174 0.804
O55 O 0.803 0.176 0.089
O56 O 0.814 0.027 0.592
O57 O 0.823 0.707 0.756
O58 O 0.823 0.975 0.196
O59 O 0.828 0.203 0.696
O60 O 0.828 0.488 0.256
O61 O 0.834 0.189 0.409
O62 O 0.836 0.985 0.908
O63 O 0.840 0.701 0.472
O64 O 0.843 0.458 0.977
O65 O 0.850 0.507 0.574
O66 O 0.867 0.637 0.077
O67 O 0.870 0.499 0.861
O68 O 0.875 0.640 0.363
O69 O 0.970 0.842 0.695
O70 O 0.971 0.206 0.192
O71 O 0.974 0.833 0.409
O72 O 0.983 0.186 0.907
```

## Properties
energy with MP2020 corrections = -8.396 eV/atom
DFT formation energy = -301 kJ/mol of atoms
calculated volume = 1585.39 Å³ per cell
total energy = -7.950 eV per atom